Compound: Cs3Re2Cl10O
Source: the Materials Project
Functional: PBE
Structure: relaxed

Cell and atoms, written as CIF:
```
data_Cs3Re2Cl10O
_chemical_formula_sum 'Cs6 Re4 Cl20 O2'
_space_group_name_H-M_alt 'I 4/m m m'
_space_group_IT_number 139
_space_group_name_Hall '-I 4 2'
_cell_length_a 7.610
_cell_length_b 7.610
_cell_length_c 17.770
_cell_angle_alpha 90.00
_cell_angle_beta 90.00
_cell_angle_gamma 90.00
loop_
_atom_site_label
_atom_site_type_symbol
_atom_site_fract_x
_atom_site_fract_y
_atom_site_fract_z
Cs1 Cs 0.000 0.000 0.000
Cs2 Cs 0.000 0.500 0.250
Re1 Re 0.000 0.000 0.397
Cl1 Cl 0.000 0.000 0.262
Cl2 Cl 0.220 0.220 0.390
O1 O 0.000 0.000 0.500
```

## Properties
Formation energy from the elements in meV per atom: -1335
Uncorrected energy in eV per atom: -4.48
ρ in g/cm3: 3.68